(1)
First-principles (PBE-GGA) data for a geometry-optimized FePSe structure, as listed in the Materials Project.

Output
- Energy: -0.227 Ha/atom
- Formation energy from the elements: -0.53 eV per atom
- M_tot: 0.0 μB/cell

Lattice parameters (Å, degrees): 5.737 5.714 5.806 90.00 112.69 90.00
Space group P2_1/c (No. 14)
Asymmetric unit:
1 Fe 0.236 0.009 0.212
2 P 0.359 0.135 0.618
3 Se 0.162 0.629 0.315

(2)
First-principles (PBE-GGA) data for a geometry-optimized KMg3GaSi3H2O12 structure, as listed in the Materials Project.

Output
- Energy: -0.243 Ha/atom
- Formation energy from the elements: -2.82 eV per atom
- M_tot: 0.0 μB/cell

Lattice parameters (Å, degrees): 5.360 5.367 10.586 80.24 85.25 60.10
Space group P1 (No. 1)
Asymmetric unit:
1 K 0.000 0.000 0.000
2 Mg 0.334 0.823 0.523
3 Mg 0.665 0.157 0.524
4 Mg 0.999 0.497 0.524
5 Ga 0.334 0.403 0.788
6 Si 0.335 0.246 0.254
7 Si 0.666 0.735 0.794
8 Si 0.668 0.583 0.254
9 H 0.000 0.102 0.708
10 H 0.991 0.897 0.324
11 O 0.000 0.129 0.614
12 O 0.001 0.459 0.195
13 O 0.335 0.460 0.613
14 O 0.336 0.190 0.408
15 O 0.414 0.656 0.852
16 O 0.476 0.935 0.194
17 O 0.526 0.409 0.197
18 O 0.607 0.026 0.852
19 O 0.665 0.788 0.634
20 O 0.669 0.536 0.408
21 O 0.977 0.464 0.851
22 O 0.993 0.866 0.416

(3)
First-principles (PBE-GGA) data for a geometry-optimized Mo2WS6 structure, as listed in the Materials Project.

Output
- Energy: -0.274 Ha/atom
- Formation energy from the elements: -1.18 eV per atom

Lattice parameters (Å, degrees): 3.1879 3.1879 29.1005 90.00 90.00 120.00
Space group P3m1 (No. 156)
Asymmetric unit:
1 Mo 0.0000 0.0000 0.0000
2 Mo 0.3333 0.6667 0.2313
3 W 0.0000 0.0000 0.4626
4 S 0.0000 0.0000 0.1775
5 S 0.0000 0.0000 0.2852
6 S 0.3333 0.6667 0.0539
7 S 0.3333 0.6667 0.4086
8 S 0.3333 0.6667 0.5168
9 S 0.3333 0.6667 0.9461

(4)
First-principles (PBE-GGA) data for a geometry-optimized Hg structure, as listed in the Materials Project.

Output
- Energy: -0.011 Ha/atom
- E above lowest polymorph: 13 meV per atom
- Formation energy from the elements: 0.01 eV per atom
- M_tot: 0.0 μB/cell

Lattice parameters (Å, degrees): 4.249 5.345 3.583 90.00 126.18 90.00
Space group C2/m (No. 12)
Asymmetric unit:
1 Hg 0.000 0.000 0.000

(5)
First-principles (PBE-GGA) data for a geometry-optimized K3AlB8O15 structure, as listed in the Materials Project.

Output
- Energy: -0.275 Ha/atom
- Formation energy from the elements: -2.88 eV per atom
- M_tot: 0.0 μB/cell

Lattice parameters (Å, degrees): 10.325 11.601 12.918 90.00 91.17 90.00
Space group P2_1/c (No. 14)
Asymmetric unit:
1 K 0.027 0.137 0.278
2 K 0.388 0.628 0.438
3 K 0.390 0.100 0.396
4 Al 0.248 0.165 0.039
5 B 0.008 0.198 0.583
6 B 0.155 0.599 0.023
7 B 0.193 0.628 0.834
8 B 0.275 0.552 0.664
9 B 0.279 0.119 0.812
10 B 0.308 0.539 0.180
11 B 0.329 0.749 0.716
12 B 0.368 0.162 0.644
13 O 0.035 0.656 0.013
14 O 0.057 0.667 0.829
15 O 0.109 0.227 0.090
16 O 0.186 0.563 0.122
17 O 0.215 0.534 0.757
18 O 0.230 0.583 0.938
19 O 0.242 0.159 0.905
20 O 0.272 0.004 0.784
21 O 0.276 0.729 0.810
22 O 0.285 0.029 0.089
23 O 0.329 0.199 0.742
24 O 0.332 0.660 0.643
25 O 0.383 0.243 0.568
26 O 0.383 0.647 0.191
27 O 0.388 0.047 0.625

(6)
First-principles (PBE-GGA) data for a geometry-optimized Mg5Si9 structure, as listed in the Materials Project.

Output
- Energy: -0.143 Ha/atom
- E above lowest polymorph: 72 meV per atom
- Formation energy from the elements: 0.22 eV per atom
- M_tot: 0.0 μB/cell

Lattice parameters (Å, degrees): 5.911 6.989 13.006 83.69 82.19 69.44
Space group P1 (No. 1)
Asymmetric unit:
1 Mg 0.000 0.000 0.000
2 Mg 0.018 0.316 0.134
3 Mg 0.097 0.541 0.378
4 Mg 0.273 0.884 0.242
5 Mg 0.309 0.718 0.824
6 Mg 0.493 0.357 0.199
7 Mg 0.611 0.311 0.521
8 Mg 0.657 0.928 0.859
9 Mg 0.749 0.911 0.252
10 Mg 0.939 0.966 0.654
11 Si 0.099 0.171 0.805
12 Si 0.102 0.660 0.133
13 Si 0.133 0.269 0.566
14 Si 0.209 0.541 0.648
15 Si 0.331 0.306 0.910
16 Si 0.338 0.765 0.490
17 Si 0.348 0.118 0.395
18 Si 0.420 0.999 0.666
19 Si 0.451 0.724 0.038
20 Si 0.477 0.056 0.065
21 Si 0.577 0.332 0.740
22 Si 0.620 0.565 0.339
23 Si 0.717 0.408 0.976
24 Si 0.717 0.675 0.574
25 Si 0.821 0.546 0.762
26 Si 0.896 0.914 0.454
27 Si 0.928 0.219 0.337
28 Si 0.986 0.604 0.965

(7)
First-principles (PBE-GGA) data for a geometry-optimized Si2Ru structure, as listed in the Materials Project.

Output
- Energy: -0.256 Ha/atom
- Formation energy from the elements: -0.25 eV per atom
- M_tot: 0.0 μB/cell

Lattice parameters (Å, degrees): 5.683 5.683 5.683 90.00 90.00 90.00
Space group Fm-3m (No. 225)
Asymmetric unit:
1 Si 0.250 0.250 0.250
2 Ru 0.000 0.000 0.000

(8)
First-principles (PBE-GGA) data for a geometry-optimized ErAgS2 structure, as listed in the Materials Project.

Output
- Energy: -0.192 Ha/atom
- Formation energy from the elements: -1.55 eV per atom

Lattice parameters (Å, degrees): 5.397 5.397 11.993 90.00 90.00 90.00
Space group I4_1md (No. 109)
Asymmetric unit:
1 Er 0.000 0.000 0.000
2 Ag 0.000 0.000 0.468
3 S 0.000 0.000 0.230
4 S 0.000 0.000 0.775

(9)
First-principles (PBE-GGA) data for a geometry-optimized LiZrN2 structure, as listed in the Materials Project.

Output
- Energy: -0.278 Ha/atom
- Formation energy from the elements: -0.96 eV per atom
- M_tot: 1.0 μB/cell

Lattice parameters (Å, degrees): 3.3160 3.3160 5.3880 90.00 90.00 120.00
Space group P3m1 (No. 156)
Asymmetric unit:
1 Li 0.0000 0.0000 0.0000
2 Zr 0.3333 0.6667 0.5606
3 N 0.0000 0.0000 0.3717
4 N 0.6667 0.3333 0.7870

(10)
First-principles (PBE-GGA) data for a geometry-optimized Nb3AlFe8 structure, as listed in the Materials Project.

Output
- Energy: -0.318 Ha/atom
- Formation energy from the elements: -0.17 eV per atom
- M_tot: 9.4 μB/cell

Lattice parameters (Å, degrees): 4.7405 4.7405 7.8930 90.00 90.00 120.00
Space group P3m1 (No. 156)
Asymmetric unit:
1 Nb 0.0000 0.0000 0.0000
2 Nb 0.0000 0.0000 0.3719
3 Nb 0.6667 0.3333 0.8545
4 Al 0.6667 0.3333 0.4920
5 Fe 0.1642 0.3285 0.6796
6 Fe 0.3333 0.6667 0.4340
7 Fe 0.3333 0.6667 0.9384
8 Fe 0.5031 0.0063 0.1832

(11)
First-principles (PBE-GGA) data for a geometry-optimized ErCoGe2 structure, as listed in the Materials Project.

Output
- Energy: -0.214 Ha/atom
- Formation energy from the elements: -0.60 eV per atom
- M_tot: 0.0 μB/cell

Lattice parameters (Å, degrees): 4.102 16.466 4.163 90.00 90.00 90.00
Space group Cmcm (No. 63)
Asymmetric unit:
1 Er 0.000 0.108 0.250
2 Co 0.000 0.319 0.250
3 Ge 0.000 0.251 0.750
4 Ge 0.000 0.455 0.250

(12)
First-principles (PBE-GGA) data for a geometry-optimized Ca3Si2As4 structure, as listed in the Materials Project.

Output
- Energy: -0.175 Ha/atom
- Formation energy from the elements: -0.82 eV per atom

Lattice parameters (Å, degrees): 7.326 17.799 7.192 90.00 111.65 90.00
Space group P2_1/c (No. 14)
Asymmetric unit:
1 Ca 0.218 0.184 0.014
2 Ca 0.255 0.059 0.512
3 Ca 0.262 0.560 0.502
4 Si 0.212 0.630 0.030
5 Si 0.316 0.740 0.921
6 As 0.007 0.561 0.751
7 As 0.037 0.687 0.222
8 As 0.494 0.197 0.771
9 As 0.499 0.568 0.243

(13)
First-principles (PBE-GGA) data for a geometry-optimized Ce2MnSi4Pd3 structure, as listed in the Materials Project.

Output
- Energy: -0.244 Ha/atom
- Formation energy from the elements: -0.80 eV per atom
- M_tot: 3.7 μB/cell

Lattice parameters (Å, degrees): 4.144 4.144 10.210 90.00 90.00 90.00
Space group P-4m2 (No. 115)
Asymmetric unit:
1 Ce 0.000 0.500 0.248
2 Mn 0.500 0.500 0.000
3 Si 0.000 0.500 0.633
4 Si 0.000 0.500 0.865
5 Pd 0.000 0.000 0.000
6 Pd 0.000 0.000 0.500
7 Pd 0.500 0.500 0.500

(14)
First-principles (PBE-GGA) data for a geometry-optimized SmV2Fe5Co5 structure, as listed in the Materials Project.

Output
- Energy: -0.287 Ha/atom
- Formation energy from the elements: -0.06 eV per atom
- M_tot: 28.0 μB/cell

Lattice parameters (Å, degrees): 4.685 8.450 8.469 90.00 90.00 90.00
Space group Imm2 (No. 44)
Asymmetric unit:
1 Sm 0.000 0.000 0.000
2 V 0.000 0.000 0.358
3 V 0.000 0.000 0.639
4 Fe 0.000 0.500 0.271
5 Fe 0.250 0.249 0.249
6 Co 0.000 0.272 0.498
7 Co 0.000 0.359 0.000
8 Co 0.000 0.500 0.725

(15)
First-principles (PBE-GGA) data for a geometry-optimized Co2NiN2 structure, as listed in the Materials Project.

Output
- Energy: -0.264 Ha/atom
- Formation energy from the elements: 0.02 eV per atom
- M_tot: 0.0 μB/cell

Lattice parameters (Å, degrees): 2.7440 2.7440 22.8059 90.00 90.00 120.00
Space group R-3m (No. 166, hexagonal axes)
Asymmetric unit:
1 Co 0.0000 0.0000 0.2147
2 Ni 0.0000 0.0000 0.0000
3 N 0.0000 0.0000 0.0800

(16)
First-principles (PBE-GGA) data for a geometry-optimized Pr3OsI3 structure, as listed in the Materials Project.

Output
- Energy: -0.194 Ha/atom
- Formation energy from the elements: -1.12 eV per atom

Lattice parameters (Å, degrees): 9.436 4.375 12.743 90.00 93.08 90.00
Space group P2_1/m (No. 11)
Asymmetric unit:
1 Pr 0.094 0.250 0.390
2 Pr 0.116 0.250 0.831
3 Pr 0.308 0.750 0.619
4 Os 0.110 0.250 0.620
5 I 0.130 0.250 0.118
6 I 0.365 0.750 0.876
7 I 0.395 0.750 0.368